A | ## CsVSO6 (GGA+U)

Data for a relaxed CsVSO6 crystal.

```
CsVSO6
1.0
9.095 0.000 0.000
0.000 14.823 0.000
-1.399 0.000 9.409
Cs V S O
8 8 8 48
Direct
0.179 0.054 0.367 Cs
0.179 0.446 0.867 Cs
0.275 0.101 0.912 Cs
0.275 0.399 0.412 Cs
0.725 0.601 0.588 Cs
0.725 0.899 0.088 Cs
0.821 0.554 0.133 Cs
0.821 0.946 0.633 Cs
0.228 0.673 0.618 V
0.228 0.827 0.118 V
0.421 0.721 0.916 V
0.421 0.779 0.416 V
0.579 0.221 0.584 V
0.579 0.279 0.084 V
0.772 0.173 0.882 V
0.772 0.327 0.382 V
0.016 0.720 0.854 S
0.016 0.780 0.354 S
0.385 0.604 0.198 S
0.385 0.896 0.698 S
0.615 0.104 0.302 S
0.615 0.396 0.802 S
0.984 0.220 0.646 S
0.984 0.280 0.146 S
0.039 0.129 0.623 O
0.039 0.371 0.123 O
0.059 0.724 0.704 O
0.059 0.776 0.204 O
0.089 0.208 0.136 O
0.089 0.292 0.636 O
0.159 0.579 0.548 O
0.159 0.735 0.958 O
0.159 0.765 0.458 O
0.159 0.921 0.048 O
0.254 0.547 0.164 O
0.254 0.953 0.664 O
0.320 0.636 0.786 O
0.320 0.864 0.286 O
0.337 0.695 0.252 O
0.337 0.805 0.752 O
0.406 0.691 0.541 O
0.406 0.809 0.041 O
0.407 0.223 0.613 O
0.407 0.277 0.113 O
0.449 0.626 0.061 O
0.449 0.874 0.561 O
0.495 0.064 0.202 O
0.495 0.436 0.702 O
0.505 0.564 0.298 O
0.505 0.936 0.798 O
0.551 0.126 0.439 O
0.551 0.374 0.939 O
0.593 0.723 0.887 O
0.593 0.777 0.387 O
0.594 0.191 0.959 O
0.594 0.309 0.459 O
0.663 0.195 0.248 O
0.663 0.305 0.748 O
0.680 0.136 0.714 O
0.680 0.364 0.214 O
0.746 0.047 0.336 O
0.746 0.453 0.836 O
0.841 0.079 0.952 O
0.841 0.235 0.542 O
0.841 0.265 0.042 O
0.841 0.421 0.452 O
0.911 0.708 0.364 O
0.911 0.792 0.864 O
0.941 0.224 0.796 O
0.941 0.276 0.296 O
0.961 0.629 0.877 O
0.961 0.871 0.377 O
```

Computed properties:
magnetization: 0.0 μB/f.u.

---

B | ## CsVSO6 (GGA+U)

Data for a relaxed CsVSO6 crystal.

```
CsVSO6
1.0
6.691 0.000 0.000
0.000 10.871 0.000
0.000 0.000 17.876
Cs V S O
8 8 8 48
Direct
0.250 0.021 0.089 Cs
0.250 0.479 0.589 Cs
0.250 0.521 0.089 Cs
0.250 0.979 0.589 Cs
0.750 0.021 0.411 Cs
0.750 0.479 0.911 Cs
0.750 0.521 0.411 Cs
0.750 0.979 0.911 Cs
0.005 0.224 0.752 V
0.005 0.276 0.252 V
0.495 0.724 0.752 V
0.495 0.776 0.252 V
0.505 0.224 0.748 V
0.505 0.276 0.248 V
0.995 0.724 0.748 V
0.995 0.776 0.248 V
0.239 0.721 0.903 S
0.239 0.779 0.403 S
0.261 0.221 0.903 S
0.261 0.279 0.403 S
0.739 0.721 0.597 S
0.739 0.779 0.097 S
0.761 0.221 0.597 S
0.761 0.279 0.097 S
0.003 0.075 0.753 O
0.003 0.425 0.253 O
0.055 0.745 0.356 O
0.055 0.755 0.856 O
0.077 0.240 0.357 O
0.077 0.260 0.857 O
0.234 0.706 0.471 O
0.234 0.794 0.971 O
0.243 0.588 0.914 O
0.243 0.719 0.227 O
0.243 0.781 0.727 O
0.243 0.912 0.414 O
0.257 0.088 0.914 O
0.257 0.219 0.227 O
0.257 0.281 0.727 O
0.257 0.412 0.414 O
0.266 0.206 0.471 O
0.266 0.294 0.971 O
0.423 0.740 0.357 O
0.423 0.760 0.857 O
0.445 0.245 0.356 O
0.445 0.255 0.856 O
0.497 0.575 0.753 O
0.497 0.925 0.253 O
0.503 0.075 0.747 O
0.503 0.425 0.247 O
0.555 0.745 0.144 O
0.555 0.755 0.644 O
0.577 0.240 0.143 O
0.577 0.260 0.643 O
0.734 0.706 0.029 O
0.734 0.794 0.529 O
0.743 0.588 0.586 O
0.743 0.719 0.273 O
0.743 0.781 0.773 O
0.743 0.912 0.086 O
0.757 0.088 0.586 O
0.757 0.219 0.273 O
0.757 0.281 0.773 O
0.757 0.412 0.086 O
0.766 0.206 0.029 O
0.766 0.294 0.529 O
0.923 0.740 0.143 O
0.923 0.760 0.643 O
0.945 0.245 0.144 O
0.945 0.255 0.644 O
0.997 0.575 0.747 O
0.997 0.925 0.247 O
```

Computed properties:
magnetization: 0.0 μB/f.u.

---

The structure with the most favorable energy is B; the runner-up is 0.7 kJ/mol of atoms above it.

---

A | ## MgVBr2O (GGA+U)

Data for a relaxed MgVBr2O crystal.

```
MgVBr2O
1.0
3.744 0.000 0.000
-0.002 4.170 0.000
-1.870 -2.059 9.092
Mg V Br O
1 1 2 1
Direct
0.000 0.000 0.000 Mg
0.759 0.749 0.508 V
0.592 0.091 0.183 Br
0.926 0.422 0.842 Br
0.269 0.766 0.527 O
```

Computed properties:
magnetization: 3.0 μB/f.u.

---

B | ## MgVBr2O (GGA+U)

Data for a relaxed MgVBr2O crystal.

```
MgVBr2O
1.0
3.979 0.000 0.000
0.000 4.344 0.000
1.964 2.129 7.177
Mg V Br O
1 1 2 1
Direct
0.000 0.000 0.000 Mg
0.500 0.500 0.000 V
0.126 0.625 0.745 Br
0.874 0.375 0.255 Br
0.500 0.000 0.000 O
```

Computed properties:
magnetization: 3.0 μB/f.u.

---

The structure with the most favorable energy is B; the runner-up is 35.1 kJ/mol of atoms above it.

---

A | ## Li3V3P8O29 (GGA+U)

Data for a relaxed Li3V3P8O29 crystal.

```
Li3V3P8O29
1.0
9.765 0.000 0.000
-4.873 8.481 0.000
-0.020 -0.086 14.499
Li V P O
6 6 16 58
Direct
0.000 0.000 0.000 Li
0.002 0.522 0.511 Li
0.169 0.608 0.106 Li
0.381 0.386 0.509 Li
0.853 0.389 0.996 Li
0.857 0.002 0.505 Li
0.079 0.739 0.314 V
0.082 0.876 0.806 V
0.513 0.306 0.306 V
0.514 0.735 0.814 V
0.642 0.302 0.810 V
0.643 0.870 0.308 V
0.168 0.080 0.395 P
0.169 0.626 0.897 P
0.307 0.220 0.901 P
0.310 0.620 0.401 P
0.392 0.533 0.220 P
0.396 0.393 0.722 P
0.408 0.968 0.195 P
0.414 0.968 0.694 P
0.745 0.637 0.427 P
0.754 0.642 0.929 P
0.766 0.220 0.394 P
0.767 0.078 0.897 P
0.846 0.986 0.718 P
0.850 0.394 0.216 P
0.987 0.533 0.722 P
0.990 0.983 0.218 P
0.000 0.561 0.228 O
0.056 0.041 0.126 O
0.064 0.536 0.633 O
0.070 0.072 0.474 O
0.080 0.545 0.983 O
0.082 0.517 0.809 O
0.097 0.103 0.298 O
0.163 0.047 0.896 O
0.164 0.645 0.399 O
0.176 0.785 0.882 O
0.177 0.926 0.381 O
0.260 0.819 0.237 O
0.263 0.967 0.737 O
0.283 0.295 0.806 O
0.286 0.516 0.309 O
0.308 0.305 0.984 O
0.312 0.539 0.135 O
0.316 0.534 0.483 O
0.332 0.319 0.631 O
0.337 0.650 0.895 O
0.338 0.225 0.397 O
0.405 0.959 0.093 O
0.412 0.119 0.237 O
0.413 0.971 0.592 O
0.419 0.825 0.739 O
0.420 0.561 0.734 O
0.421 0.391 0.229 O
0.461 0.212 0.882 O
0.462 0.780 0.383 O
0.555 0.687 0.238 O
0.557 0.968 0.239 O
0.559 0.403 0.743 O
0.560 0.121 0.738 O
0.596 0.488 0.386 O
0.604 0.213 0.378 O
0.605 0.644 0.886 O
0.606 0.923 0.885 O
0.696 0.826 0.739 O
0.698 0.404 0.238 O
0.738 0.221 0.899 O
0.739 0.049 0.396 O
0.745 0.787 0.387 O
0.752 0.489 0.892 O
0.753 0.637 0.529 O
0.758 0.650 0.032 O
0.820 0.389 0.733 O
0.823 0.963 0.235 O
0.844 0.053 0.627 O
0.845 0.327 0.124 O
0.856 0.317 0.474 O
0.860 0.103 0.800 O
0.862 0.079 0.976 O
0.862 0.290 0.298 O
0.896 0.636 0.385 O
0.902 0.791 0.888 O
0.980 0.687 0.740 O
0.981 0.824 0.244 O
0.993 0.965 0.732 O
```

Computed properties:
magnetization: 0.0 μB/f.u.

---

B | ## Li3V3P8O29 (GGA+U)

Data for a relaxed Li3V3P8O29 crystal.

```
Li3V3P8O29
1.0
8.480 -4.882 0.000
8.480 4.882 0.000
-0.017 0.000 14.044
Li V P O
6 6 16 58
Direct
0.061 0.529 0.002 Li
0.066 0.934 0.500 Li
0.151 0.615 0.617 Li
0.529 0.061 0.502 Li
0.615 0.151 0.117 Li
0.934 0.066 0.000 Li
0.274 0.404 0.809 V
0.277 0.838 0.301 V
0.404 0.274 0.309 V
0.410 0.839 0.812 V
0.838 0.277 0.801 V
0.839 0.410 0.312 V
0.067 0.523 0.218 P
0.073 0.926 0.717 P
0.156 0.753 0.900 P
0.158 0.613 0.399 P
0.171 0.174 0.928 P
0.174 0.171 0.428 P
0.502 0.511 0.687 P
0.511 0.502 0.187 P
0.523 0.067 0.718 P
0.528 0.924 0.213 P
0.608 0.756 0.400 P
0.613 0.158 0.899 P
0.753 0.156 0.400 P
0.756 0.608 0.900 P
0.924 0.528 0.713 P
0.926 0.073 0.217 P
0.022 0.172 0.888 O
0.026 0.319 0.384 O
0.049 0.633 0.308 O
0.053 0.832 0.804 O
0.070 0.847 0.985 O
0.082 0.590 0.127 O
0.083 0.841 0.626 O
0.091 0.599 0.490 O
0.094 0.928 0.223 O
0.096 0.502 0.721 O
0.169 0.327 0.886 O
0.171 0.178 0.034 O
0.172 0.022 0.388 O
0.178 0.171 0.534 O
0.179 0.584 0.899 O
0.179 0.759 0.395 O
0.222 0.361 0.239 O
0.225 0.934 0.736 O
0.317 0.745 0.883 O
0.319 0.026 0.884 O
0.320 0.459 0.378 O
0.327 0.169 0.386 O
0.350 0.510 0.729 O
0.361 0.222 0.739 O
0.361 0.653 0.231 O
0.363 0.936 0.234 O
0.456 0.747 0.379 O
0.459 0.320 0.878 O
0.496 0.511 0.582 O
0.498 0.924 0.726 O
0.502 0.096 0.221 O
0.503 0.655 0.734 O
0.510 0.350 0.229 O
0.511 0.496 0.082 O
0.584 0.179 0.399 O
0.586 0.751 0.894 O
0.590 0.082 0.627 O
0.597 0.846 0.487 O
0.599 0.091 0.990 O
0.601 0.841 0.124 O
0.631 0.841 0.307 O
0.633 0.049 0.808 O
0.653 0.361 0.731 O
0.655 0.503 0.234 O
0.745 0.317 0.383 O
0.747 0.456 0.879 O
0.751 0.586 0.394 O
0.759 0.179 0.895 O
0.832 0.053 0.304 O
0.841 0.083 0.126 O
0.841 0.601 0.624 O
0.841 0.631 0.807 O
0.846 0.597 0.987 O
0.847 0.070 0.485 O
0.924 0.498 0.226 O
0.928 0.094 0.723 O
0.934 0.225 0.236 O
0.936 0.363 0.734 O
```

Computed properties:
magnetization: 0.0 μB/f.u.

---

The structure with the most favorable energy is A; the runner-up is 0.7 kJ/mol of atoms above it.